Record 1
This record from Materials Project describes a geometry-optimized BeGa3 structure. The functional is PBE.

Summary:
The total magnetization is 0.0 μB per cell. Its space-group type is I4/mmm (139).

Lattice parameters (Å, degrees): 4.767 4.767 4.767 129.23 129.23 74.65
Positions (direct):
Ga (0.750, 0.250, 0.500)
Ga (0.250, 0.750, 0.500)
Ga (0.500, 0.500, 0.000)
Be (0.000, 0.000, 0.000)

=====

Record 2
This record from Materials Project describes a geometry-optimized RbBaN3 structure. The functional is PBE.

Summary:
The total magnetization is 24.0 μB per cell. Its space-group type is Fddd (70).

Lattice parameters (Å, degrees): 15.274 14.937 6.810 79.76 74.22 26.02
Positions (direct):
N (0.622, 0.099, 0.341)
N (0.151, 0.628, 0.311)
N (0.311, 0.909, 0.151)
N (0.628, 0.151, 0.909)
N (0.909, 0.311, 0.628)
N (0.219, 0.781, 0.781)
N (0.939, 0.341, 0.099)
N (0.031, 0.469, 0.469)
N (0.341, 0.939, 0.622)
N (0.781, 0.219, 0.219)
N (0.469, 0.031, 0.031)
N (0.099, 0.622, 0.939)
Rb (0.824, 0.824, 0.676)
Rb (0.574, 0.574, 0.426)
Rb (0.676, 0.676, 0.824)
Rb (0.426, 0.426, 0.574)
Ba (0.177, 0.177, 0.323)
Ba (0.073, 0.073, 0.927)
Ba (0.323, 0.323, 0.177)
Ba (0.927, 0.927, 0.073)

=====

Record 3
This record from Materials Project describes a geometry-optimized Ca2AgPd structure. The functional is PBE.

Summary:
Its space-group type is Fm-3m (225).

Lattice parameters (Å, degrees): 5.136 5.136 5.136 60.00 60.00 60.00
Positions (direct):
Ca (0.250, 0.250, 0.250)
Ca (0.750, 0.750, 0.750)
Pd (0.000, 0.000, 0.000)
Ag (0.500, 0.500, 0.500)

=====

Record 4
This record from Materials Project describes a geometry-optimized CeMg2H7 structure. The functional is PBE.

Summary:
Its space-group type is P4_12_12 (92).

Lattice parameters (Å, degrees): 6.277 6.277 9.372 90.00 90.00 90.00
Positions (direct):
H (0.936, 0.421, 0.930)
H (0.064, 0.579, 0.430)
H (0.039, 0.031, 0.128)
H (0.194, 0.655, 0.998)
H (0.961, 0.969, 0.628)
H (0.245, 0.245, 0.500)
H (0.755, 0.755, 0.000)
H (0.845, 0.694, 0.248)
H (0.579, 0.064, 0.570)
H (0.969, 0.961, 0.372)
H (0.745, 0.255, 0.250)
H (0.655, 0.194, 0.002)
H (0.806, 0.345, 0.498)
H (0.461, 0.531, 0.122)
H (0.255, 0.745, 0.750)
H (0.031, 0.039, 0.872)
H (0.155, 0.306, 0.748)
H (0.469, 0.539, 0.378)
H (0.539, 0.469, 0.622)
H (0.345, 0.806, 0.502)
H (0.306, 0.155, 0.252)
H (0.436, 0.079, 0.820)
H (0.079, 0.436, 0.180)
H (0.921, 0.564, 0.680)
H (0.531, 0.461, 0.878)
H (0.564, 0.921, 0.320)
H (0.694, 0.845, 0.752)
H (0.421, 0.936, 0.070)
Mg (0.762, 0.473, 0.102)
Mg (0.027, 0.262, 0.352)
Mg (0.527, 0.238, 0.398)
Mg (0.973, 0.738, 0.852)
Mg (0.738, 0.973, 0.148)
Mg (0.262, 0.027, 0.648)
Mg (0.473, 0.762, 0.898)
Mg (0.238, 0.527, 0.602)
Ce (0.731, 0.731, 0.500)
Ce (0.231, 0.769, 0.250)
Ce (0.269, 0.269, 0.000)
Ce (0.769, 0.231, 0.750)

=====

Record 5
This record from Materials Project describes a geometry-optimized PdC structure. The functional is PBE.

Summary:
The total magnetization is 0.0 μB per cell. As for the energy relative to the lowest polymorph listed for this composition: 0.0 kJ/mol of atoms. Its space-group type is F-43m (216).

Lattice parameters (Å, degrees): 3.340 3.340 3.340 60.00 60.00 60.00
Positions (direct):
Pd (0.000, 0.000, 0.000)
C (0.250, 0.250, 0.250)

=====

Record 6
This record from Materials Project describes a geometry-optimized Li7OsO6 structure. The functional is PBE.

Summary:
The maximum piezoelectric response is 0.5 C/m². The total magnetization is 3.0 μB per cell. Its space-group type is P1 (1).

Lattice parameters (Å, degrees): 5.370 5.443 5.853 90.80 115.98 119.39
Positions (direct):
O (0.465, 0.371, 0.221)
O (0.841, 0.232, 0.759)
O (0.117, 0.901, 0.745)
O (0.551, 0.634, 0.799)
O (0.857, 0.091, 0.235)
O (0.151, 0.783, 0.230)
Li (0.851, 0.761, 0.347)
Li (0.595, 0.103, 0.356)
Li (0.387, 0.859, 0.624)
Li (0.700, 0.505, 0.617)
Li (0.292, 0.635, 0.997)
Li (0.150, 0.257, 0.628)
Li (0.736, 0.360, 0.039)
Os (0.004, 0.010, 0.002)

=====

Record 7
This record from Materials Project describes a geometry-optimized Mo3WS8 structure. The functional is PBE.

Summary:
Its space-group type is P3m1 (156).

Lattice parameters (Å, degrees): 3.187 3.187 35.846 90.00 90.00 120.00
Positions (direct):
S (0.000, 0.000, 0.614)
S (0.333, 0.667, 0.514)
S (0.333, 0.667, 0.426)
S (0.000, 0.000, 0.238)
S (0.333, 0.667, 0.138)
S (0.000, 0.000, 0.701)
S (0.000, 0.000, 0.326)
S (0.333, 0.667, 0.050)
Mo (0.333, 0.667, 0.658)
Mo (0.333, 0.667, 0.282)
Mo (0.000, 0.000, 0.094)
W (0.000, 0.000, 0.470)

=====

Record 8
This record from Materials Project describes a geometry-optimized ReCl4O structure. The functional is PBE.

Summary:
The total magnetization is 0.0 μB per cell. Its space-group type is P2_1/c (14).

Lattice parameters (Å, degrees): 6.153 13.562 19.750 63.70 90.00 90.00
Positions (direct):
Cl (0.368, 0.107, 0.222)
Cl (0.868, 0.893, 0.278)
Cl (0.229, 0.785, 0.743)
Cl (0.345, 0.289, 0.995)
Cl (0.632, 0.893, 0.778)
Cl (0.753, 0.401, 0.528)
Cl (0.730, 0.034, 0.924)
Cl (0.646, 0.539, 0.174)
Cl (0.729, 0.215, 0.757)
Cl (0.251, 0.424, 0.641)
Cl (0.770, 0.034, 0.424)
Cl (0.146, 0.461, 0.326)
Cl (0.155, 0.289, 0.495)
Cl (0.132, 0.107, 0.722)
Cl (0.354, 0.461, 0.826)
Cl (0.845, 0.711, 0.505)
Cl (0.127, 0.923, 0.888)
Cl (0.247, 0.599, 0.472)
Cl (0.230, 0.966, 0.576)
Cl (0.751, 0.576, 0.859)
Cl (0.854, 0.539, 0.674)
Cl (0.873, 0.077, 0.112)
Cl (0.249, 0.424, 0.141)
Cl (0.771, 0.215, 0.257)
Cl (0.749, 0.576, 0.359)
Cl (0.373, 0.923, 0.388)
Cl (0.747, 0.401, 0.028)
Cl (0.270, 0.966, 0.076)
Cl (0.271, 0.785, 0.243)
Cl (0.655, 0.711, 0.005)
Cl (0.253, 0.599, 0.972)
Cl (0.627, 0.077, 0.612)
O (0.159, 0.175, 0.856)
O (0.720, 0.321, 0.400)
O (0.341, 0.175, 0.356)
O (0.659, 0.825, 0.644)
O (0.220, 0.679, 0.100)
O (0.780, 0.321, 0.900)
O (0.280, 0.679, 0.600)
O (0.841, 0.825, 0.144)
Re (0.991, 0.098, 0.832)
Re (0.390, 0.598, 0.080)
Re (0.610, 0.402, 0.920)
Re (0.110, 0.598, 0.580)
Re (0.509, 0.098, 0.332)
Re (0.491, 0.902, 0.668)
Re (0.890, 0.402, 0.420)
Re (0.009, 0.902, 0.168)

=====

Record 9
This record from Materials Project describes a geometry-optimized Li13Zn11Ge12 structure. The functional is PBE.

Summary:
The total magnetization is 0.0 μB per cell. Its space-group type is P-6m2 (187).

Lattice parameters (Å, degrees): 4.471 4.471 37.734 90.00 90.00 120.00
Positions (direct):
Zn (0.333, 0.667, 0.571)
Zn (0.667, 0.333, 0.500)
Zn (0.667, 0.333, 0.251)
Zn (0.333, 0.667, 0.321)
Zn (0.333, 0.667, 0.933)
Zn (0.333, 0.667, 0.821)
Zn (0.333, 0.667, 0.067)
Zn (0.333, 0.667, 0.179)
Zn (0.333, 0.667, 0.429)
Zn (0.667, 0.333, 0.749)
Zn (0.333, 0.667, 0.679)
Ge (0.667, 0.333, 0.659)
Ge (0.667, 0.333, 0.842)
Ge (0.333, 0.667, 0.750)
Ge (0.333, 0.667, 0.500)
Ge (0.667, 0.333, 0.158)
Ge (0.667, 0.333, 0.909)
Ge (0.667, 0.333, 0.341)
Ge (0.667, 0.333, 0.592)
Ge (0.667, 0.333, 0.091)
Ge (0.333, 0.667, 0.250)
Ge (0.667, 0.333, 0.408)
Ge (0.333, 0.667, 0.000)
Li (0.000, 0.000, 0.334)
Li (0.000, 0.000, 0.666)
Li (0.000, 0.000, 0.584)
Li (0.000, 0.000, 0.500)
Li (0.000, 0.000, 0.919)
Li (0.000, 0.000, 0.000)
Li (0.000, 0.000, 0.081)
Li (0.000, 0.000, 0.166)
Li (0.000, 0.000, 0.250)
Li (0.667, 0.333, 0.000)
Li (0.000, 0.000, 0.834)
Li (0.000, 0.000, 0.750)
Li (0.000, 0.000, 0.416)

=====

Record 10
This record from Materials Project describes a geometry-optimized BaLa7Mg5Nb3O24 structure. The functional is PBE.

Summary:
The total magnetization is 0.0 μB per cell. As for the energy relative to the lowest polymorph listed for this composition: 0.3 kJ/mol of atoms. Its space-group type is Cm (8).

Lattice parameters (Å, degrees): 9.901 9.901 9.893 80.28 80.28 33.40
Positions (direct):
O (0.334, 0.821, 0.017)
O (0.962, 0.962, 0.222)
O (0.576, 0.072, 0.779)
O (0.290, 0.290, 0.042)
O (0.800, 0.800, 0.542)
O (0.177, 0.677, 0.980)
O (0.207, 0.207, 0.466)
O (0.309, 0.833, 0.530)
O (0.821, 0.334, 0.017)
O (0.070, 0.585, 0.273)
O (0.585, 0.070, 0.273)
O (0.039, 0.039, 0.784)
O (0.677, 0.177, 0.980)
O (0.833, 0.309, 0.530)
O (0.675, 0.172, 0.474)
O (0.419, 0.925, 0.724)
O (0.541, 0.541, 0.280)
O (0.072, 0.576, 0.779)
O (0.172, 0.675, 0.474)
O (0.925, 0.419, 0.724)
O (0.458, 0.458, 0.709)
O (0.930, 0.410, 0.211)
O (0.710, 0.710, 0.966)
O (0.410, 0.930, 0.211)
La (0.432, 0.432, 0.171)
La (0.824, 0.824, 0.047)
La (0.930, 0.930, 0.691)
La (0.194, 0.194, 0.941)
La (0.554, 0.554, 0.814)
La (0.320, 0.320, 0.590)
La (0.065, 0.065, 0.323)
Mg (0.376, 0.376, 0.879)
Mg (0.749, 0.749, 0.752)
Mg (0.499, 0.499, 0.501)
Mg (0.251, 0.251, 0.248)
Mg (0.002, 0.002, 0.999)
Nb (0.624, 0.624, 0.120)
Nb (0.875, 0.875, 0.376)
Nb (0.125, 0.125, 0.627)
Ba (0.687, 0.687, 0.434)

=====

Record 11
This record from Materials Project describes a geometry-optimized YIr2 structure. The functional is PBE.

Summary:
Its space-group type is Fd-3m (227).

Lattice parameters (Å, degrees): 5.370 5.370 5.370 60.00 60.00 60.00
Positions (direct):
Y (0.500, 0.500, 0.500)
Y (0.750, 0.750, 0.750)
Ir (0.625, 0.125, 0.125)
Ir (0.125, 0.125, 0.625)
Ir (0.125, 0.625, 0.125)
Ir (0.125, 0.125, 0.125)

=====

Record 12
This record from Materials Project describes a geometry-optimized Cu6SnWS8 structure. The functional is PBE.

Summary:
The total magnetization is 0.0 μB per cell. Its space-group type is P-4m2 (115).

Lattice parameters (Å, degrees): 7.596 7.596 5.275 90.00 90.00 90.00
Positions (direct):
Cu (0.500, 0.000, 0.998)
Cu (0.750, 0.250, 0.500)
Cu (0.000, 0.500, 0.002)
Cu (0.250, 0.250, 0.500)
Cu (0.750, 0.750, 0.500)
Cu (0.250, 0.750, 0.500)
S (0.500, 0.256, 0.755)
S (0.000, 0.735, 0.736)
S (0.735, 0.000, 0.264)
S (0.265, 0.000, 0.264)
S (0.744, 0.500, 0.245)
S (0.500, 0.744, 0.755)
S (0.256, 0.500, 0.245)
S (0.000, 0.265, 0.736)
W (0.500, 0.500, 0.000)
Sn (0.000, 0.000, 0.000)

=====

Record 13
This record from Materials Project describes a geometry-optimized BiOF structure. The functional is PBE.

Summary:
The total magnetization is 0.0 μB per cell. Its space-group type is P2_1/c (14).

Lattice parameters (Å, degrees): 10.982 7.663 7.917 81.49 90.00 90.00
Positions (direct):
O (0.316, 0.067, 0.751)
O (0.684, 0.933, 0.249)
O (0.605, 0.102, 0.512)
O (0.184, 0.567, 0.751)
O (0.816, 0.433, 0.249)
O (0.089, 0.148, 0.769)
O (0.105, 0.398, 0.488)
O (0.589, 0.352, 0.231)
O (0.395, 0.898, 0.488)
O (0.411, 0.648, 0.769)
O (0.895, 0.602, 0.512)
O (0.911, 0.852, 0.231)
Bi (0.491, 0.922, 0.727)
Bi (0.712, 0.425, 0.017)
Bi (0.509, 0.078, 0.273)
Bi (0.693, 0.372, 0.469)
Bi (0.009, 0.422, 0.727)
Bi (0.807, 0.872, 0.469)
Bi (0.788, 0.925, 0.017)
Bi (0.288, 0.575, 0.983)
Bi (0.991, 0.578, 0.273)
Bi (0.193, 0.128, 0.531)
Bi (0.307, 0.628, 0.531)
Bi (0.212, 0.075, 0.983)
F (0.364, 0.295, 0.997)
F (0.148, 0.792, 0.430)
F (0.123, 0.371, 0.057)
F (0.136, 0.795, 0.997)
F (0.377, 0.871, 0.057)
F (0.877, 0.629, 0.943)
F (0.864, 0.205, 0.003)
F (0.352, 0.292, 0.430)
F (0.852, 0.208, 0.570)
F (0.636, 0.705, 0.003)
F (0.623, 0.129, 0.943)
F (0.648, 0.708, 0.570)

=====

Record 14
This record from Materials Project describes a geometry-optimized LuSiRh structure. The functional is PBE.

Summary:
Its space-group type is Pnma (62).

Lattice parameters (Å, degrees): 4.184 6.755 7.378 90.00 90.00 90.00
Positions (direct):
Rh (0.750, 0.845, 0.568)
Rh (0.250, 0.155, 0.432)
Rh (0.250, 0.655, 0.068)
Rh (0.750, 0.345, 0.932)
Si (0.250, 0.791, 0.393)
Si (0.750, 0.709, 0.893)
Si (0.750, 0.209, 0.607)
Si (0.250, 0.291, 0.107)
Lu (0.750, 0.496, 0.309)
Lu (0.750, 0.996, 0.191)
Lu (0.250, 0.004, 0.809)
Lu (0.250, 0.504, 0.691)

=====

Record 15
This record from Materials Project describes a geometry-optimized MgSi2 structure. The functional is PBE.

Summary:
The total magnetization is 0.0 μB per cell. As for the energy relative to the lowest polymorph listed for this composition: 15.5 kJ/mol of atoms. Its space-group type is P1 (1).

Lattice parameters (Å, degrees): 4.565 5.259 9.651 74.88 77.38 64.79
Positions (direct):
Si (0.909, 0.592, 0.671)
Si (0.314, 0.829, 0.607)
Si (0.433, 0.098, 0.135)
Si (0.820, 0.341, 0.123)
Si (0.900, 0.863, 0.414)
Si (0.095, 0.085, 0.812)
Si (0.550, 0.651, 0.319)
Si (0.674, 0.826, 0.921)
Mg (0.381, 0.453, 0.874)
Mg (0.621, 0.222, 0.612)
Mg (0.191, 0.290, 0.391)
Mg (0.113, 0.750, 0.119)

=====

| no. | energy of formation from the pure elements (meV/atom) |
| --- | --- |
| 1 | 276 |
| 2 | 1304 |
| 3 | -506 |
| 4 | -421 |
| 5 | 1216 |
| 6 | -1998 |
| 7 | -1188 |
| 8 | -925 |
| 9 | -86 |
| 10 | -3468 |
| 11 | -815 |
| 12 | -583 |
| 13 | -2132 |
| 14 | -1088 |
| 15 | 239 |